[1]
Computed, not measured: crystalline Nb2O5 at its relaxed geometry at the GGA-PBE level of DFT.

Lattice parameters (Å, degrees): 7.826 3.857 6.803 90.00 89.88 90.00
Fractional positions:
1 O 0.174 0.250 0.554
2 O 0.826 0.750 0.446
3 O 0.187 0.750 0.256
4 O 0.969 0.250 0.144
5 O 0.506 0.750 0.682
6 O 0.716 0.750 0.031
7 O 0.494 0.250 0.318
8 O 0.813 0.250 0.744
9 O 0.284 0.250 0.969
10 O 0.031 0.750 0.856
11 Nb 0.723 0.750 0.732
12 Nb 0.277 0.250 0.268
13 Nb 0.906 0.750 0.195
14 Nb 0.094 0.250 0.805

Theoretical density: 4299 kg/m3
Total energy after the MP2020 corrections: -9.394 eV per atom
E: -8.904 eV/atom
SG: P2_1/m
Excess energy over the best structure of this formula in the dataset: 60.2 meV/atom
M_tot: 0.000 μB/atom
Formation enthalpy at 0 K: -2.974 eV per atom

[2]
Computed, not measured: crystalline Nb2O5 at its relaxed geometry at the GGA-PBE level of DFT.

Lattice parameters (Å, degrees): 7.787 11.486 11.579 88.02 80.32 80.26
Fractional positions:
1 O 0.016 0.360 0.521
2 O 0.163 0.389 0.959
3 O 0.394 0.732 0.708
4 O 0.863 0.963 0.608
5 O 0.557 0.136 0.637
6 O 0.837 0.611 0.041
7 O 0.292 0.471 0.362
8 O 0.789 0.478 0.368
9 O 0.577 0.511 0.188
10 O 0.275 0.067 0.835
11 O 0.874 0.361 0.138
12 O 0.126 0.639 0.862
13 O 0.115 0.268 0.290
14 O 0.725 0.933 0.165
15 O 0.000 0.000 0.000
16 O 0.926 0.490 0.812
17 O 0.056 0.137 0.638
18 O 0.648 0.039 0.391
19 O 0.500 0.000 0.000
20 O 0.625 0.636 0.863
21 O 0.984 0.640 0.479
22 O 0.692 0.165 0.068
23 O 0.745 0.305 0.715
24 O 0.244 0.293 0.731
25 O 0.671 0.808 0.510
26 O 0.708 0.529 0.638
27 O 0.423 0.489 0.812
28 O 0.443 0.864 0.363
29 O 0.544 0.360 0.522
30 O 0.074 0.510 0.188
31 O 0.375 0.364 0.137
32 O 0.774 0.072 0.834
33 O 0.663 0.387 0.960
34 O 0.308 0.835 0.932
35 O 0.352 0.961 0.609
36 O 0.944 0.863 0.362
37 O 0.885 0.732 0.710
38 O 0.173 0.793 0.512
39 O 0.337 0.613 0.040
40 O 0.226 0.928 0.166
41 O 0.329 0.192 0.490
42 O 0.827 0.207 0.488
43 O 0.606 0.268 0.292
44 O 0.192 0.165 0.068
45 O 0.255 0.695 0.285
46 O 0.808 0.835 0.932
47 O 0.456 0.640 0.478
48 O 0.211 0.522 0.632
49 O 0.137 0.037 0.392
50 O 0.756 0.707 0.269
51 Nb 0.196 0.886 0.324
52 Nb 0.301 0.114 0.678
53 Nb 0.766 0.415 0.522
54 Nb 0.580 0.207 0.441
55 Nb 0.699 0.886 0.322
56 Nb 0.096 0.209 0.439
57 Nb 0.642 0.321 0.118
58 Nb 0.249 0.002 0.001
59 Nb 0.688 0.446 0.801
60 Nb 0.420 0.793 0.559
61 Nb 0.804 0.114 0.676
62 Nb 0.234 0.585 0.478
63 Nb 0.904 0.791 0.561
64 Nb 0.312 0.554 0.199
65 Nb 0.140 0.326 0.110
66 Nb 0.860 0.674 0.890
67 Nb 0.193 0.444 0.786
68 Nb 0.358 0.679 0.882
69 Nb 0.807 0.556 0.214
70 Nb 0.751 0.998 0.999

Theoretical density: 4387 kg/m3
Total energy after the MP2020 corrections: -9.443 eV per atom
E: -8.952 eV/atom
SG: P-1
Excess energy over the best structure of this formula in the dataset: 11.9 meV/atom
Formation enthalpy at 0 K: -3.022 eV per atom

[3]
Computed, not measured: crystalline Nb2P4O15 at its relaxed geometry at the GGA-PBE level of DFT.

Lattice parameters (Å, degrees): 6.790 8.538 11.181 74.34 89.83 89.94
Fractional positions:
1 P 0.980 0.300 0.157
2 P 0.656 0.066 0.143
3 P 0.425 0.897 0.389
4 P 0.482 0.661 0.865
5 P 0.606 0.295 0.663
6 P 0.104 0.668 0.355
7 P 0.156 0.896 0.875
8 P 0.927 0.068 0.630
9 O 0.539 0.773 0.482
10 O 0.217 0.511 0.409
11 O 0.943 0.698 0.442
12 O 0.331 0.032 0.435
13 O 0.026 0.681 0.224
14 O 0.863 0.457 0.113
15 O 0.250 0.024 0.930
16 O 0.251 0.819 0.329
17 O 0.755 0.145 0.693
18 O 0.516 0.280 0.790
19 O 0.104 0.266 0.053
20 O 0.020 0.647 0.696
21 O 0.614 0.646 0.235
22 O 0.552 0.976 0.269
23 O 0.020 0.778 0.957
24 O 0.508 0.320 0.310
25 O 0.830 0.150 0.199
26 O 0.363 0.505 0.904
27 O 0.456 0.265 0.570
28 O 0.334 0.812 0.821
29 O 0.059 0.988 0.746
30 O 0.596 0.692 0.974
31 O 0.612 0.673 0.752
32 O 0.831 0.934 0.583
33 O 0.525 0.184 0.058
34 O 0.099 0.291 0.273
35 O 0.039 0.193 0.537
36 O 0.719 0.453 0.614
37 O 0.102 0.316 0.791
38 O 0.754 0.938 0.090
39 Nb 0.306 0.280 0.409
40 Nb 0.281 0.272 0.905
41 Nb 0.784 0.690 0.115
42 Nb 0.808 0.685 0.608

Theoretical density: 2925 kg/m3
Total energy after the MP2020 corrections: -8.294 eV per atom
E: -7.803 eV/atom
SG: P1
M_tot: 0.000 μB/atom
Formation enthalpy at 0 K: -2.767 eV per atom